# 1
6
Lattice="-2.9754 2.1789 3.1936 -1.8473 -4.3414 1.2409 2.6912 -0.3585 2.7519" Properties=species:S:1:pos:R:3 comment="r²SCAN YbF2, optimized geometry" e_tot_ev_per_atom=-17.76 spacegroup="P4_2/mnm, No. 136" magmom_total_mub_per_fu=0.84 pbc="T T T"
Yb 0.0000 0.0000 0.0000
Yb -1.0658 -1.2605 3.5932
F -1.5303 -0.6862 1.4072
F -3.2924 -1.4763 3.0274
F -0.7078 -3.3295 2.9736
F -1.4238 0.8085 4.2128


# 2
8
Lattice="0.0000 -4.2301 0.0000 0.3208 0.0000 -4.1078 6.2794 0.0000 0.9357" Properties=species:S:1:pos:R:3 comment="r²SCAN SrF3, optimized geometry" e_tot_ev_per_atom=-9.21 spacegroup="P2_1/m, No. 11" magmom_total_mub_per_fu=0.25 pbc="T T T"
Sr 1.8190 -3.1726 -0.6672
Sr 4.7812 -1.0575 -2.5049
F 3.2058 -3.1726 -2.6237
F 3.3944 -1.0575 -0.5484
F 5.5159 -3.1726 0.5010
F 1.0843 -1.0575 -3.6731
F 5.7519 -3.1726 -1.5168
F 0.8482 -1.0575 -1.6553


# 3
6
Lattice="-2.6384 -1.8078 -0.8876 0.8545 0.2284 3.1992 -13.3279 18.3195 2.2563" Properties=species:S:1:pos:R:3 comment="r²SCAN MoWSe4, optimized geometry" e_tot_ev_per_atom=-23.12 spacegroup="Cm, No. 8" magmom_total_mub_per_fu=0.00 pbc="T T T"
Mo -7.4909 7.1365 1.4899
W -2.3146 2.3106 2.1799
Se -7.2933 9.1456 3.0153
Se -2.5071 0.2936 0.6534
Se -4.4518 2.9703 0.9814
Se -5.3589 6.4829 2.6889


# 4
8
Lattice="5.0636 -2.6245 0.1092 5.0636 2.6244 0.1090 3.6106 0.0001 4.4162" Properties=species:S:1:pos:R:3 comment="r²SCAN CaVF6, optimized geometry" e_tot_ev_per_atom=-8.48 spacegroup="R-3, No. 148" magmom_total_mub_per_fu=1.00 pbc="T T T"
Ca 6.8689 0.0000 2.3172
V 0.0000 0.0000 0.0000
F 8.6762 0.6874 1.1406
F 8.0549 -1.8095 2.9823
F 6.0635 -1.1222 0.5241
F 5.6829 1.8095 1.6522
F 5.0616 -0.6874 3.4939
F 7.6744 1.1222 4.1103


# 5
8
Lattice="4.8373 0.0000 0.0000 0.0000 5.2718 0.0000 0.0000 0.0000 5.7788" Properties=species:S:1:pos:R:3 comment="r²SCAN InAu3, optimized geometry" e_tot_ev_per_atom=-43.73 spacegroup="Pmmn, No. 59" magmom_total_mub_per_fu=0.00 pbc="T T T"
In 3.6280 3.5033 4.3341
In 1.2093 1.7685 1.4447
Au 1.2093 1.7783 4.3341
Au 3.6280 3.4935 1.4447
Au 1.2093 4.4114 5.7703
Au 3.6280 0.8605 0.0085
Au 1.2093 4.4114 2.8979
Au 3.6280 0.8605 2.8809


# 6
12
Lattice="-4.2196 -0.1586 -0.1865 0.4817 -4.1108 -7.4002 0.0987 -7.5109 4.1542" Properties=species:S:1:pos:R:3 comment="r²SCAN PrSe2, optimized geometry" e_tot_ev_per_atom=-21.23 spacegroup="P2_1/c, No. 14" magmom_total_mub_per_fu=0.00 pbc="T T T"
Pr -0.9729 -3.6446 -1.6712
Pr -2.6663 -8.1358 -1.7613
Pr -3.1570 -6.0897 1.9277
Pr -0.4822 -5.6906 -5.3603
Se -1.2026 -8.0258 3.2184
Se -3.0978 -3.3978 0.4604
Se -0.3566 -10.0585 -0.4550
Se -3.2826 -1.7219 -2.9776
Se -0.8417 -6.3293 -0.1955
Se -2.4365 -3.7545 -6.6509
Se -2.7975 -5.4510 -3.2371
Se -0.5414 -8.3825 -3.8930


# 7
4
Lattice="1.9851 -2.8458 -3.0970 1.1707 -4.3284 1.2355 -2.3790 -3.6230 -1.6918" Properties=species:S:1:pos:R:3 comment="r²SCAN Sc2RuAu, optimized geometry" e_tot_ev_per_atom=-25.41 spacegroup="Fm-3m, No. 225" magmom_total_mub_per_fu=0.00 pbc="T T T"
Sc -1.2073 -7.9509 -0.4570
Sc 0.3875 -5.3990 -1.7760
Ru 0.5826 -8.0979 -2.6650
Au 0.1942 -2.6993 -0.8884


# 8
10
Lattice="-6.7723 0.8867 -2.3813 2.3094 -0.6799 -6.8209 -0.5263 -3.5488 0.1755" Properties=species:S:1:pos:R:3 comment="r²SCAN Tm2Ni2Sn, optimized geometry" e_tot_ev_per_atom=-24.41 spacegroup="P4/mbm, No. 127" magmom_total_mub_per_fu=0.00 pbc="T T T"
Tm -4.4215 -1.2953 -2.6950
Tm -0.5678 -2.0467 -6.3317
Tm -0.6797 -1.8433 -2.5546
Tm -4.3095 -1.4987 -6.4722
Ni -5.0788 0.5218 -4.6807
Ni 0.6159 -0.3150 -4.5213
Ni -2.2896 0.2542 -1.7267
Ni -2.1731 -0.0474 -7.4757
Sn -2.2316 0.1034 -4.6010
Sn 0.0000 0.0000 -0.0002